This record from the Materials Project describes an optimized crystal structure of Li9Mn4B8O24. The functional is PBE with a Hubbard U.

Crystal system: triclinic
Density: 2.8 g/cm3
MP2020-corrected energy: -335.397 eV per formula unit
Offset from the most stable computed form: 22 meV/atom
Volume: 10.0 Å³ per atom

Structure (extended XYZ):
```
45
Lattice="-0.425 -5.028 -1.559 3.053 -2.645 7.738 -9.116 0.227 3.619" Properties=species:S:1:pos:R:3 pbc="T T T"
O -7.090 -3.864 3.639
O -0.535 -2.516 1.036
O 0.026 -2.592 4.134
B -3.446 -5.413 7.809
O -2.194 -1.659 3.053
Mn -0.291 -1.454 2.652
O -4.252 -2.710 4.980
O -0.922 -5.773 6.484
O -7.627 -0.942 5.682
Li -3.828 -2.529 7.059
O -6.471 -4.902 5.661
O -5.711 -2.729 7.932
O -5.942 -4.941 8.804
B -4.721 -1.573 4.394
B -1.756 -5.876 5.365
O -1.296 -4.268 -0.407
O 1.116 -6.452 4.082
O -4.782 -5.340 3.273
Mn -6.198 -6.028 7.174
Li -4.283 -4.642 5.184
O -1.705 -2.100 6.473
Mn -5.352 -3.534 2.802
O 0.640 -3.560 6.176
Li -7.568 -1.803 3.868
O -2.887 -4.171 7.669
O -5.448 -3.100 10.274
O -5.541 -1.691 3.272
B -3.035 -2.021 1.990
Li 1.927 -3.449 7.718
O -4.304 -5.861 6.797
B -0.870 -3.841 0.822
Li 1.144 -5.549 5.845
B 0.752 -2.497 5.280
Li -8.290 -3.980 2.024
O -0.781 -4.740 1.883
O -2.236 -4.753 4.772
O -3.241 -1.101 1.020
B -5.673 -3.598 9.022
O -3.260 -6.264 8.866
B -7.221 -4.944 4.525
Mn -1.124 -3.887 6.976
Li -2.200 -2.826 4.645
Li -3.421 -4.313 0.106
O -3.591 -3.314 1.976
Li -2.617 -4.944 2.834
```